No. 1
Here is a relaxed DyAl8Fe4 crystal from Materials Project. Energies are from meta-GGA r2SCAN.

Unit cell a=6.640 b=6.640 c=6.640 alpha=98.11 beta=98.11 gamma=135.89
Positions (direct):
Dy: 0.000 0.000 0.000
Al: 0.000 0.342 0.342
Al: 0.000 0.658 0.658
Al: 0.278 0.500 0.778
Al: 0.342 0.000 0.342
Al: 0.500 0.278 0.778
Al: 0.500 0.722 0.222
Al: 0.658 0.000 0.658
Al: 0.722 0.500 0.222
Fe: 0.000 0.000 0.500
Fe: 0.000 0.500 0.000
Fe: 0.500 0.000 0.000
Fe: 0.500 0.500 0.500

Computed properties:
Final energy ... -11.426 eV/atom

No. 2
Here is a relaxed La5Mg crystal from Materials Project. Energies are from meta-GGA r2SCAN.

Unit cell a=6.431 b=6.431 c=5.826 alpha=90.00 beta=90.00 gamma=120.00
Positions (direct):
La: 0.000 0.688 0.000
La: 0.312 0.312 0.000
La: 0.333 0.667 0.500
La: 0.667 0.333 0.500
La: 0.688 0.000 0.000
Mg: 0.000 0.000 0.500

Computed properties:
Energy above the lowest structure with this stoichiometry ... 0.17 eV/f.u.

No. 3
Here is a relaxed KMgH3 crystal from Materials Project. Energies are from meta-GGA r2SCAN.

Unit cell a=3.988 b=3.988 c=3.988 alpha=90.00 beta=90.00 gamma=90.00
Positions (direct):
K: 0.000 0.000 0.000
Mg: 0.500 0.500 0.500
H: 0.000 0.500 0.500
H: 0.500 0.000 0.500
H: 0.500 0.500 0.000

Computed properties:
Final energy ... -4.467 eV/atom

No. 4
Here is a relaxed Ho2InPd2 crystal from Materials Project. Energies are from meta-GGA r2SCAN.

Unit cell a=7.735 b=7.735 c=3.602 alpha=90.00 beta=90.00 gamma=90.00
Positions (direct):
Ho: 0.173 0.327 0.000
Ho: 0.327 0.827 0.000
Ho: 0.673 0.173 0.000
Ho: 0.827 0.673 0.000
In: 0.000 0.000 0.500
In: 0.500 0.500 0.500
Pd: 0.128 0.628 0.500
Pd: 0.372 0.128 0.500
Pd: 0.628 0.872 0.500
Pd: 0.872 0.372 0.500

Computed properties:
Final energy ... -27.802 eV/atom

No. 5
Here is a relaxed PrC6N9 crystal from Materials Project. Energies are from meta-GGA r2SCAN.

Unit cell a=7.021 b=7.021 c=10.278 alpha=90.00 beta=90.00 gamma=111.45
Positions (direct):
Pr: 0.215 0.785 0.750
Pr: 0.785 0.215 0.250
C: 0.058 0.226 0.750
C: 0.212 0.502 0.050
C: 0.212 0.502 0.450
C: 0.226 0.058 0.250
C: 0.498 0.788 0.050
C: 0.498 0.788 0.450
C: 0.502 0.212 0.550
C: 0.502 0.212 0.950
C: 0.774 0.942 0.750
C: 0.788 0.498 0.550
C: 0.788 0.498 0.950
C: 0.942 0.774 0.250
N: 0.028 0.972 0.250
N: 0.087 0.359 0.096
N: 0.087 0.359 0.404
N: 0.145 0.403 0.750
N: 0.341 0.659 0.511
N: 0.341 0.659 0.989
N: 0.359 0.087 0.596
N: 0.359 0.087 0.904
N: 0.403 0.145 0.250
N: 0.597 0.855 0.750
N: 0.641 0.913 0.096
N: 0.641 0.913 0.404
N: 0.659 0.341 0.011
N: 0.659 0.341 0.489
N: 0.855 0.597 0.250
N: 0.913 0.641 0.596
N: 0.913 0.641 0.904
N: 0.972 0.028 0.750

Computed properties:
Final energy ... -10.751 eV/atom

No. 6
Here is a relaxed Ni2H crystal from Materials Project. Energies are from meta-GGA r2SCAN.

Unit cell a=2.528 b=2.528 c=12.426 alpha=90.00 beta=90.00 gamma=120.00
Positions (direct):
Ni: 0.000 0.000 0.247
Ni: 0.000 0.000 0.753
Ni: 0.333 0.667 0.419
Ni: 0.333 0.667 0.914
Ni: 0.667 0.333 0.086
Ni: 0.667 0.333 0.581
H: 0.000 0.000 0.000
H: 0.333 0.667 0.667
H: 0.667 0.333 0.333

Computed properties:
Final energy ... -9.104 eV/atom